# HoB2C2 (GGA-PBE, optimized geometry)
data_HoB2C2
_cell_length_a 5.3473
_cell_length_b 5.3473
_cell_length_c 3.5373
_cell_angle_alpha 90.00
_cell_angle_beta 90.00
_cell_angle_gamma 90.00
_symmetry_space_group_name_H-M 'P 4/m b m'
_symmetry_Int_Tables_number 127
_symmetry_space_group_name_Hall '-P 4 2ab'
loop_
_atom_site_label
_atom_site_type_symbol
_atom_site_fract_x
_atom_site_fract_y
_atom_site_fract_z
Ho1 Ho 0.0000 0.0000 0.0000
B1 B 0.1367 0.3633 0.5000
C1 C 0.1618 0.6619 0.5000
# V = 10.11 A^3/atom
# Formation energy = -0.444 eV per atom

# Ho2B4C (GGA-PBE, optimized geometry)
data_Ho2B4C
_cell_length_a 3.2704
_cell_length_b 6.5594
_cell_length_c 7.4843
_cell_angle_alpha 90.00
_cell_angle_beta 90.00
_cell_angle_gamma 90.00
_symmetry_space_group_name_H-M 'I m m m'
_symmetry_Int_Tables_number 71
_symmetry_space_group_name_Hall '-I 2 2'
loop_
_atom_site_label
_atom_site_type_symbol
_atom_site_fract_x
_atom_site_fract_y
_atom_site_fract_z
Ho1 Ho 0.0000 0.0000 0.2340
B1 B 0.0000 0.2721 0.5000
B2 B 0.0000 0.3654 0.0000
C1 C 0.0000 0.5000 0.5000
# V = 11.47 A^3/atom
# Formation energy = -0.578 eV per atom

# HoB2C (GGA-PBE, optimized geometry)
data_HoB2C
_cell_length_a 6.7826
_cell_length_b 6.7826
_cell_length_c 7.4161
_cell_angle_alpha 90.00
_cell_angle_beta 90.00
_cell_angle_gamma 90.00
_symmetry_space_group_name_H-M 'P 42/m b c'
_symmetry_Int_Tables_number 135
_symmetry_space_group_name_Hall '-P 4c 2ab'
loop_
_atom_site_label
_atom_site_type_symbol
_atom_site_fract_x
_atom_site_fract_y
_atom_site_fract_z
Ho1 Ho 0.1905 0.3095 0.2500
B1 B 0.0346 0.8480 0.0000
B2 B 0.0946 0.5970 0.0000
C1 C 0.0405 0.8226 0.5000
# V = 10.66 A^3/atom
# Formation energy = -0.541 eV per atom

# HoB2Rh2C (GGA-PBE, optimized geometry)
data_HoB2Rh2C
_cell_length_a 3.8062
_cell_length_b 3.8062
_cell_length_c 10.2795
_cell_angle_alpha 90.00
_cell_angle_beta 90.00
_cell_angle_gamma 90.00
_symmetry_space_group_name_H-M 'I 4/m m m'
_symmetry_Int_Tables_number 139
_symmetry_space_group_name_Hall '-I 4 2'
loop_
_atom_site_label
_atom_site_type_symbol
_atom_site_fract_x
_atom_site_fract_y
_atom_site_fract_z
Ho1 Ho 0.0000 0.0000 0.0000
B1 B 0.0000 0.0000 0.3548
Rh1 Rh 0.0000 0.5000 0.2500
C1 C 0.0000 0.0000 0.5000
# V = 12.41 A^3/atom
# Formation energy = -0.583 eV per atom

# Y21B7C14I18 (GGA-PBE, optimized geometry)
data_Y21B7C14I18
_cell_length_a 10.8853
_cell_length_b 15.6539
_cell_length_c 18.5409
_cell_angle_alpha 82.53
_cell_angle_beta 85.12
_cell_angle_gamma 83.10
_symmetry_space_group_name_H-M 'P -1'
_symmetry_Int_Tables_number 2
loop_
_symmetry_equiv_pos_as_xyz
'x,y,z'
'-x,-y,-z'
loop_
_atom_site_label
_atom_site_type_symbol
_atom_site_fract_x
_atom_site_fract_y
_atom_site_fract_z
Y1 Y 0.0806 0.1312 0.2067
Y2 Y 0.0906 0.2692 0.3484
Y3 Y 0.1046 0.2400 0.9967
Y4 Y 0.1097 0.9247 0.3552
Y5 Y 0.1098 0.9953 0.0622
Y6 Y 0.1119 0.3523 0.7901
Y7 Y 0.1115 0.4134 0.4883
Y8 Y 0.1154 0.0715 0.4964
Y9 Y 0.1159 0.3738 0.1484
Y10 Y 0.1207 0.2144 0.6430
Y11 Y 0.1209 0.4826 0.9366
Y12 Y 0.1215 0.7745 0.2201
Y13 Y 0.1352 0.5211 0.2894
Y14 Y 0.1360 0.5588 0.6267
Y15 Y 0.1400 0.6196 0.0841
Y16 Y 0.1434 0.1037 0.8458
Y17 Y 0.1450 0.6708 0.4226
Y18 Y 0.1546 0.8560 0.9109
Y19 Y 0.1605 0.7064 0.7634
Y20 Y 0.1670 0.8158 0.5556
Y21 Y 0.1700 0.9602 0.6984
B1 B 0.0006 0.9656 0.2224
B2 B 0.0044 0.2450 0.4966
B3 B 0.0102 0.8949 0.6383
B4 B 0.0200 0.3898 0.6353
B5 B 0.0334 0.5328 0.7751
B6 B 0.0363 0.8239 0.0764
B7 B 0.0504 0.6746 0.9232
C1 C 0.0009 0.8903 0.0150
C2 C 0.0026 0.7459 0.1240
C3 C 0.0072 0.6100 0.9812
C4 C 0.0113 0.6154 0.7282
C5 C 0.0138 0.5282 0.4110
C6 C 0.0166 0.5256 0.1627
C7 C 0.0243 0.8213 0.4424
C8 C 0.0249 0.6726 0.3040
C9 C 0.0280 0.1128 0.7298
C10 C 0.0292 0.7510 0.8701
C11 C 0.0330 0.9682 0.5839
C12 C 0.0425 0.6756 0.5491
C13 C 0.0445 0.9680 0.8370
C14 C 0.0588 0.8219 0.6900
I1 I 0.2828 0.0868 0.3332
I2 I 0.2965 0.2329 0.4879
I3 I 0.3036 0.9205 0.1824
I4 I 0.3075 0.1862 0.1059
I5 I 0.3117 0.3735 0.6533
I6 I 0.3189 0.3548 0.2644
I7 I 0.3274 0.2589 0.8824
I8 I 0.3287 0.4550 0.0470
I9 I 0.3325 0.5324 0.8231
I10 I 0.3376 0.9905 0.9458
I11 I 0.3404 0.6263 0.2069
I12 I 0.3436 0.5129 0.4327
I13 I 0.3445 0.7236 0.9967
I14 I 0.3492 0.7941 0.4010
I15 I 0.3512 0.0989 0.7178
I16 I 0.3561 0.9500 0.5580
I17 I 0.3597 0.6685 0.6236
I18 I 0.3652 0.8276 0.7826
# V = 25.85 A^3/atom
# Formation energy = -1.022 eV per atom

# KBC4N4 (GGA-PBE, optimized geometry)
data_KBC4N4
_cell_length_a 7.1423
_cell_length_b 7.1423
_cell_length_c 14.5012
_cell_angle_alpha 90.00
_cell_angle_beta 90.00
_cell_angle_gamma 90.00
_symmetry_space_group_name_H-M 'I 41/a'
_symmetry_Int_Tables_number 88
loop_
_symmetry_equiv_pos_as_xyz
'x,y,z'
'-x,-y,-z'
'-y+3/4,x+1/4,z+1/4'
'y+3/4,-x+1/4,-z+1/4'
'-x+1/2,-y,z+1/2'
'x+1/2,y,-z+1/2'
'y+3/4,-x+3/4,z+3/4'
'-y+3/4,x+3/4,-z+3/4'
'x+1/2,y+1/2,z+1/2'
'-x+1/2,-y+1/2,-z+1/2'
'-y+1/4,x+3/4,z+3/4'
'y+1/4,-x+3/4,-z+3/4'
'-x,-y+1/2,z'
'x,y+1/2,-z'
'y+1/4,-x+1/4,z+1/4'
'-y+1/4,x+1/4,-z+1/4'
loop_
_atom_site_label
_atom_site_type_symbol
_atom_site_fract_x
_atom_site_fract_y
_atom_site_fract_z
K1 K 0.0000 0.2500 0.1250
B1 B 0.0000 0.2500 0.6250
C1 C 0.1017 0.4021 0.6872
N1 N 0.1766 0.0160 0.2686
# V = 18.49 A^3/atom
# Formation energy = -0.139 eV per atom

# KBC2N2 (GGA-PBE, optimized geometry)
data_KBC2N2
_cell_length_a 8.7552
_cell_length_b 8.7552
_cell_length_c 13.1091
_cell_angle_alpha 90.00
_cell_angle_beta 90.00
_cell_angle_gamma 90.00
_symmetry_space_group_name_H-M 'I 41/a'
_symmetry_Int_Tables_number 88
loop_
_symmetry_equiv_pos_as_xyz
'x,y,z'
'-x,-y,-z'
'-y+3/4,x+1/4,z+1/4'
'y+3/4,-x+1/4,-z+1/4'
'-x+1/2,-y,z+1/2'
'x+1/2,y,-z+1/2'
'y+3/4,-x+3/4,z+3/4'
'-y+3/4,x+3/4,-z+3/4'
'x+1/2,y+1/2,z+1/2'
'-x+1/2,-y+1/2,-z+1/2'
'-y+1/4,x+3/4,z+3/4'
'y+1/4,-x+3/4,-z+3/4'
'-x,-y+1/2,z'
'x,y+1/2,-z'
'y+1/4,-x+1/4,z+1/4'
'-y+1/4,x+1/4,-z+1/4'
loop_
_atom_site_label
_atom_site_type_symbol
_atom_site_fract_x
_atom_site_fract_y
_atom_site_fract_z
K1 K 0.0000 0.0000 0.0000
B1 B 0.0000 0.0000 0.5000
C1 C 0.1344 0.4294 0.5422
N1 N 0.1263 0.4973 0.3227
# V = 20.93 A^3/atom
# Formation energy = 0.275 eV per atom

# KBC4O8 (GGA-PBE, optimized geometry)
data_KBC4O8
_cell_length_a 8.5240
_cell_length_b 11.1265
_cell_length_c 8.4222
_cell_angle_alpha 90.00
_cell_angle_beta 90.00
_cell_angle_gamma 90.00
_symmetry_space_group_name_H-M 'C m c m'
_symmetry_Int_Tables_number 63
_symmetry_space_group_name_Hall '-C 2c 2'
loop_
_atom_site_label
_atom_site_type_symbol
_atom_site_fract_x
_atom_site_fract_y
_atom_site_fract_z
K1 K 0.0000 0.0715 0.2500
B1 B 0.0000 0.4282 0.7500
C1 C 0.0000 0.2335 0.6583
C2 C 0.0905 0.3765 0.2500
O1 O 0.0000 0.1449 0.5733
O2 O 0.0000 0.3476 0.6098
O3 O 0.1390 0.4906 0.2500
O4 O 0.1732 0.2873 0.2500
# V = 14.26 A^3/atom
# Formation energy = -1.864 eV per atom

> Among the records above, which one has the lowest formation energy?

KBC4O8

> Among the records above, which one has the highest formation energy?

KBC2N2